A relaxed Li3Mn4B4O12 crystal. Source: Materials Project, functional PBE with a Hubbard U.

Lattice parameters (Å, degrees): 5.2965 10.3278 13.9533 91.04 100.25 91.59
Atoms (fractional coordinates):
Li  0.0000  0.0000  0.0000
Li  0.0286  0.5099  0.9919
Li  0.1421  0.2470  0.5567
Li  0.3250  0.0152  0.6690
Li  0.3788  0.5025  0.6595
Li  0.4678  0.2384  0.2221
Li  0.6531  0.9975  0.3341
Li  0.7058  0.5185  0.3258
Li  0.7998  0.7393  0.8891
Mn  0.0220  0.2240  0.3389
Mn  0.1475  0.4740  0.2192
Mn  0.2201  0.9667  0.4469
Mn  0.2465  0.7291  0.7616
Mn  0.3628  0.2193  0.9978
Mn  0.4522  0.4742  0.8796
Mn  0.5518  0.9678  0.1095
Mn  0.5833  0.7252  0.4564
Mn  0.6958  0.2267  0.6721
Mn  0.8215  0.4761  0.5513
Mn  0.9003  0.7214  0.1195
Mn  0.9003  0.9754  0.7790
B  0.0383  0.7177  0.3306
B  0.1145  0.9659  0.2266
B  0.2297  0.2282  0.7763
B  0.2577  0.4727  0.4460
B  0.3569  0.7121  0.9907
B  0.4642  0.9616  0.8880
B  0.5717  0.2151  0.4465
B  0.5843  0.4741  0.1088
B  0.7056  0.7146  0.6625
B  0.7856  0.9726  0.5612
B  0.9084  0.4749  0.7757
B  0.9162  0.2106  0.1171
O  0.0039  0.0047  0.3055
O  0.0146  0.1817  0.0365
O  0.0424  0.9856  0.5644
O  0.0754  0.2686  0.1991
O  0.0813  0.4407  0.3621
O  0.1013  0.7055  0.9961
O  0.1173  0.6796  0.2429
O  0.1635  0.5056  0.7661
O  0.1992  0.4454  0.5354
O  0.2291  0.7697  0.4038
O  0.3019  0.9343  0.7983
O  0.3188  0.2145  0.6901
O  0.3209  0.1778  0.4560
O  0.3564  0.0079  0.9655
O  0.3690  0.9819  0.2264
O  0.3847  0.2871  0.8594
O  0.4069  0.4415  0.0242
O  0.4477  0.6677  0.9059
O  0.4512  0.6897  0.6573
O  0.5020  0.5276  0.4380
O  0.5266  0.4535  0.1991
O  0.5397  0.7638  0.0658
O  0.6239  0.9214  0.4755
O  0.6439  0.2016  0.3569
O  0.6578  0.1798  0.1209
O  0.6716  0.0114  0.6393
O  0.7229  0.9393  0.8983
O  0.7392  0.4347  0.6915
O  0.7458  0.2632  0.5271
O  0.7922  0.7033  0.3431
O  0.8188  0.6874  0.5804
O  0.8287  0.4877  0.8633
O  0.8297  0.5260  0.0995
O  0.8608  0.7625  0.7480
O  0.9477  0.9127  0.1419
O  0.9896  0.1803  0.7848

Summary:
Space group: No. 1
E (MP2020), eV per atom: -8.0489
Final energy, eV per cell: -510.62
Offset from the most stable computed form, kJ/mol of atoms: 0.9

***

A relaxed TmFe2O4 crystal. Source: Materials Project, functional PBE with a Hubbard U.

Lattice parameters (Å, degrees): 8.7015 8.7015 8.7015 23.02 23.02 23.02
Atoms (fractional coordinates):
Tm  0.0000  0.0000  0.0000
Fe  0.2140  0.2140  0.2140
Fe  0.7860  0.7860  0.7860
O  0.1283  0.1283  0.1283
O  0.2924  0.2924  0.2924
O  0.7076  0.7076  0.7076
O  0.8717  0.8717  0.8717

Summary:
Space group: No. 166
E (MP2020), eV per atom: -8.2812
Final energy, eV per cell: -50.71

***

A relaxed Mn7CdO12 crystal. Source: Materials Project, functional PBE with a Hubbard U.

Lattice parameters (Å, degrees): 6.5260 6.5260 6.5260 109.66 109.66 109.66
Atoms (fractional coordinates):
Mn  0.0000  0.0000  0.0000
Mn  0.0000  0.0000  0.5000
Mn  0.0000  0.5000  0.0000
Mn  0.0000  0.5000  0.5000
Mn  0.5000  0.0000  0.0000
Mn  0.5000  0.0000  0.5000
Mn  0.5000  0.5000  0.0000
Cd  0.5000  0.5000  0.5000
O  0.0253  0.1876  0.3226
O  0.1876  0.3226  0.0253
O  0.1921  0.6952  0.3681
O  0.3048  0.6319  0.8079
O  0.3226  0.0253  0.1876
O  0.3681  0.1921  0.6952
O  0.6319  0.8079  0.3048
O  0.6774  0.9747  0.8124
O  0.6952  0.3681  0.1921
O  0.8079  0.3048  0.6319
O  0.8124  0.6774  0.9747
O  0.9747  0.8124  0.6774

Summary:
Space group: No. 148
E (MP2020), eV per atom: -8.1095
Final energy, eV per cell: -142.27

***

Number 1: formation energy from the elements -2.4633 eV per atom. Number 2: formation energy from the elements -2.3944 eV per atom. Number 3: formation energy from the elements -1.8879 eV per atom.